# PBE-GGA Rb2Ti6O13, relaxed
data_Rb2Ti6O13
_cell_length_a 8.3017
_cell_length_b 8.3017
_cell_length_c 9.2388
_cell_angle_alpha 100.57
_cell_angle_beta 100.57
_cell_angle_gamma 26.77
_space_group_name_H-M_alt 'P 1'
_space_group_IT_number 1
loop_
_space_group_symop_operation_xyz
'x,y,z'
loop_
_atom_site_label
_atom_site_fract_x
_atom_site_fract_y
_atom_site_fract_z
Rb1 0.0439 0.0439 0.2468
Rb2 0.9561 0.9561 0.7532
Ti1 0.2669 0.2669 0.7211
Ti2 0.3254 0.3254 0.0636
Ti3 0.3851 0.3851 0.4065
Ti4 0.6149 0.6149 0.5935
Ti5 0.6746 0.6746 0.9364
Ti6 0.7331 0.7331 0.2789
O1 0.1422 0.1422 0.6080
O2 0.2037 0.2037 0.9276
O3 0.2610 0.2610 0.2628
O4 0.3321 0.3321 0.5865
O5 0.3612 0.3612 0.8874
O6 0.4169 0.4169 0.2127
O7 0.5000 0.5000 0.5000
O8 0.5831 0.5831 0.7873
O9 0.6388 0.6388 0.1126
O10 0.6679 0.6679 0.4135
O11 0.7390 0.7390 0.7372
O12 0.7963 0.7963 0.0724
O13 0.8578 0.8578 0.3920
# DFT formation energy: -3.33 eV/atom
# crystal system: monoclinic
# symmetry: C2/m
# uncorrected energy: -8.32 eV per atom